KSrEuSeO6 after structural relaxation. Source: Materials Project, functional PBE.

Calculated values
As for the formation energy from the elements: -22.4 eV/f.u. As for the space-group type: No. 216. The calculation puts the total moment at 6.00 μB per formula unit. Its calculated total energy is -6.4490 eV per atom.

```
KSrEuSeO6
1.0
3.0620 3.4149 3.5951
-1.0482 5.7300 0.1734
-2.5657 2.3527 4.6737
O K Se Eu Sr
6 1 1 1 1
Cartesian
-0.6189 5.7404 2.4236 O
1.2063 4.7124 3.9431 O
-1.2928 4.2407 4.4221 O
0.7408 7.2569 4.0201 O
-1.7583 6.7852 4.4991 O
0.0670 5.7571 6.0186 O
-0.1380 2.8744 2.1106 K
-0.2760 5.7488 4.2211 Se
0.0000 0.0000 0.0000 Eu
-0.4140 8.6232 6.3317 Sr
```